Material: Li3Cr3P4O16
Method: DFT, GGA+U
State: optimized geometry

Its electronic total energy is -7.1840 eV per atom. For the calculated volume, the calculation gives 304.12 Å³/f.u. As for the calculated formation energy: -2.626 eV per atom.

Cell and atoms, written as CIF:
```
data_Li3Cr3P4O16
_chemical_formula_sum 'Li9 Cr9 P12 O48'
_cell_length_a 7.967
_cell_length_b 8.822
_cell_length_c 13.017
_cell_angle_alpha 85.80
_cell_angle_beta 89.76
_cell_angle_gamma 89.93
_space_group_name_H-M_alt 'P 1'
_space_group_IT_number 1
_space_group_name_Hall 'P 1'
loop_
_atom_site_label
_atom_site_type_symbol
_atom_site_fract_x
_atom_site_fract_y
_atom_site_fract_z
Li1 Li 0.000 0.000 0.000
Li2 Li 0.000 0.319 0.668
Li3 Li 0.005 0.663 0.327
Li4 Li 0.272 0.186 0.008
Li5 Li 0.274 0.854 0.331
Li6 Li 0.502 0.363 0.334
Li7 Li 0.506 0.022 0.669
Li8 Li 0.772 0.832 0.669
Li9 Li 0.775 0.486 0.998
Cr1 Cr 0.125 0.588 0.000
Cr2 Cr 0.132 0.933 0.670
Cr3 Cr 0.150 0.264 0.334
Cr4 Cr 0.283 0.532 0.665
Cr5 Cr 0.493 0.697 0.997
Cr6 Cr 0.636 0.752 0.329
Cr7 Cr 0.644 0.098 0.002
Cr8 Cr 0.651 0.420 0.665
Cr9 Cr 0.784 0.154 0.335
P1 P 0.323 0.909 0.885
P2 P 0.334 0.571 0.220
P3 P 0.340 0.236 0.555
P4 P 0.433 0.399 0.889
P5 P 0.447 0.067 0.221
P6 P 0.453 0.740 0.549
P7 P 0.828 0.112 0.782
P8 P 0.830 0.784 0.112
P9 P 0.841 0.450 0.445
P10 P 0.942 0.281 0.113
P11 P 0.944 0.617 0.780
P12 P 0.954 0.942 0.449
O1 O 0.006 0.763 0.063
O2 O 0.010 0.099 0.735
O3 O 0.020 0.435 0.400
O4 O 0.066 0.170 0.075
O5 O 0.071 0.508 0.732
O6 O 0.071 0.835 0.404
O7 O 0.207 0.015 0.933
O8 O 0.211 0.681 0.258
O9 O 0.220 0.348 0.607
O10 O 0.255 0.417 0.933
O11 O 0.269 0.744 0.604
O12 O 0.271 0.088 0.270
O13 O 0.276 0.072 0.581
O14 O 0.283 0.733 0.916
O15 O 0.287 0.401 0.244
O16 O 0.331 0.930 0.767
O17 O 0.335 0.273 0.437
O18 O 0.339 0.594 0.096
O19 O 0.439 0.434 0.768
O20 O 0.443 0.759 0.432
O21 O 0.449 0.103 0.103
O22 O 0.493 0.566 0.584
O23 O 0.497 0.237 0.913
O24 O 0.498 0.899 0.245
O25 O 0.507 0.910 0.938
O26 O 0.515 0.585 0.264
O27 O 0.519 0.250 0.600
O28 O 0.555 0.514 0.935
O29 O 0.571 0.848 0.595
O30 O 0.573 0.175 0.270
O31 O 0.705 0.675 0.063
O32 O 0.706 0.004 0.739
O33 O 0.721 0.337 0.394
O34 O 0.761 0.267 0.069
O35 O 0.769 0.596 0.731
O36 O 0.771 0.939 0.395
O37 O 0.777 0.614 0.419
O38 O 0.778 0.952 0.088
O39 O 0.784 0.284 0.754
O40 O 0.829 0.747 0.230
O41 O 0.833 0.090 0.902
O42 O 0.837 0.413 0.563
O43 O 0.939 0.256 0.237
O44 O 0.941 0.580 0.898
O45 O 0.942 0.923 0.567
O46 O 0.990 0.451 0.090
O47 O 0.994 0.118 0.417
O48 O 0.997 0.784 0.756
```